Record 1
Material: Li4ZnP2S8
Method: DFT, PBE
State: optimized geometry

## Properties
Energy in eV for the cell shown: -194.1
Formation energy from the elements in meV per atom: -1061
Distance to the lowest polymorph of the same formula in eV/atom: 0.002
Space-group type: No. 1

Unit cell a=6.4067 b=7.9309 c=18.4427 alpha=89.87 beta=89.82 gamma=89.65
With the nearest neighbours (Å) after each atom.
Element x y z (fractional)
1 Li 0.0000 0.0000 0.0000  4 S 2.39-2.50
2 Li 0.0008 0.4677 0.6748  4 S 2.38-2.47
3 Li 0.0048 0.4783 0.3384  4 S 2.39-2.45
4 Li 0.0055 0.9819 0.3380  4 S 2.40-2.44
5 Li 0.0103 0.9851 0.6724  4 S 2.40-2.46
6 Li 0.3752 0.9765 0.1679  4 S 2.37-2.45
7 Li 0.3785 0.4965 0.1691  4 S 2.38-2.46
8 Li 0.3854 0.5012 0.8365  4 S 2.43-2.47
9 Li 0.5387 0.7518 0.6614  4 S 2.40-2.67
10 Li 0.5406 0.7426 0.3374  4 S 2.45-2.62
11 Li 0.8310 0.2269 0.1687  4 S 2.46-2.66
12 Li 0.8318 0.1914 0.5013  3 S 2.45-2.54
13 Zn 0.3853 0.4757 0.5050  4 S 2.36-2.42
14 Zn 0.3903 0.9941 0.8384  4 S 2.35-2.41
15 Zn 0.9928 0.4919 0.0027  4 S 2.35-2.40
16 P 0.5009 0.2484 0.0030  4 S 2.06-2.07
17 P 0.5067 0.2390 0.3383  4 S 2.05-2.08
18 P 0.5105 0.2245 0.6692  4 S 2.01-2.11
19 P 0.8588 0.7383 0.1680  4 S 2.01-2.11
20 P 0.8766 0.7195 0.5068  4 S 2.02-2.10
21 P 0.8910 0.7395 0.8393  4 S 2.01-2.12
22 S 0.0108 0.5168 0.1318  1 P 2.11
23 S 0.0127 0.9500 0.1318  1 P 2.06
24 S 0.0151 0.5213 0.8045  1 P 2.01
25 S 0.0210 0.4960 0.4709  1 P 2.10
26 S 0.0262 0.9233 0.4674  1 P 2.02
27 S 0.0297 0.9610 0.8052  1 P 2.07
28 S 0.3536 0.4651 0.9679  1 P 2.06
29 S 0.3621 0.0249 0.6268  1 P 2.01
30 S 0.3649 0.0261 0.2987  1 P 2.06
31 S 0.3667 0.4566 0.3015  1 P 2.05
32 S 0.3686 0.4516 0.6345  1 P 2.11
33 S 0.3769 0.0244 0.9665  1 P 2.07
34 S 0.4783 0.2176 0.4505  1 P 2.08
35 S 0.4812 0.2372 0.1144  1 P 2.06
36 S 0.5089 0.2407 0.7816  1 P 2.08
37 S 0.5666 0.7228 0.4731  1 P 2.08
38 S 0.5667 0.7365 0.1286  1 P 2.01
39 S 0.5818 0.7535 0.7983  1 P 2.12
40 S 0.8034 0.2545 0.9634  1 P 2.07
41 S 0.8133 0.2335 0.3044  1 P 2.06
42 S 0.8139 0.2269 0.6331  1 P 2.05
43 S 0.8671 0.7432 0.9511  1 P 2.07
44 S 0.8855 0.7310 0.2797  1 P 2.07
45 S 0.8912 0.7230 0.6183  1 P 2.06



Record 2
Material: Li4ZnP2S8
Method: DFT, PBE
State: optimized geometry

## Properties
Energy in eV for the cell shown: -194.1
Formation energy from the elements in meV per atom: -1061
Distance to the lowest polymorph of the same formula in eV/atom: 0.002
Space-group type: No. 1

Unit cell a=6.1404 b=8.0920 c=19.0987 alpha=90.13 beta=90.13 gamma=90.10
With the nearest neighbours (Å) after each atom.
Element x y z (fractional)
1 Li 0.0000 0.0000 0.0000  4 S 2.41-2.47
2 Li 0.0002 0.0018 0.3171  4 S 2.43-2.50
3 Li 0.4889 0.7589 0.9442  4 S 2.45-2.69
4 Li 0.4905 0.0065 0.7834  4 S 2.41-2.50
5 Li 0.4911 0.5064 0.4552  4 S 2.38-2.49
6 Li 0.4974 0.0075 0.1316  4 S 2.41-2.56
7 Li 0.4978 0.4963 0.7830  4 S 2.42-2.46
8 Li 0.5008 0.9938 0.4471  4 S 2.39-2.45
9 Li 0.9917 0.2426 0.5015  4 S 2.51-2.71
10 Li 0.9917 0.2564 0.8369  3 S 2.42-2.62
11 Li 0.9926 0.5068 0.9952  4 S 2.41-2.50
12 Li 0.9994 0.5091 0.6536  4 S 2.43-2.49
13 Zn 0.0033 0.5116 0.3243  4 S 2.33-2.44
14 Zn 0.5027 0.4916 0.1258  4 S 2.31-2.48
15 Zn 0.9994 0.9805 0.6535  4 S 2.33-2.44
16 P 0.0050 0.7484 0.8276  4 S 2.05-2.10
17 P 0.0130 0.7596 0.4935  4 S 2.01-2.11
18 P 0.4859 0.2402 0.6152  4 S 2.02-2.13
19 P 0.4923 0.2663 0.2861  4 S 2.02-2.08
20 P 0.5051 0.2486 0.9520  4 S 2.05-2.09
21 P 0.9910 0.7372 0.1613  4 S 2.02-2.08
22 S 0.3278 0.7410 0.1502  1 P 2.08
23 S 0.3395 0.7507 0.8252  1 P 2.05
24 S 0.3395 0.7555 0.4999  1 P 2.01
25 S 0.3737 0.2619 0.1841  1 P 2.08, 1 Zn 2.31
26 S 0.3838 0.0209 0.6600  1 P 2.07
27 S 0.3869 0.4842 0.3313  1 P 2.07
28 S 0.3899 0.0495 0.3267  1 P 2.02
29 S 0.3896 0.4512 0.6620  1 P 2.02
30 S 0.3944 0.2535 0.8500  1 P 2.06
31 S 0.3945 0.4637 0.0013  1 P 2.09
32 S 0.3963 0.0415 0.0025  1 P 2.05
33 S 0.3990 0.2435 0.5116  1 P 2.05
34 S 0.8302 0.2659 0.2910  1 P 2.08
35 S 0.8318 0.2371 0.6236  1 P 2.13
36 S 0.8400 0.2503 0.9537  1 P 2.06
37 S 0.8667 0.7523 0.5923  1 P 2.09, 1 Zn 2.33
38 S 0.8830 0.7440 0.2637  1 P 2.07
39 S 0.8833 0.9507 0.1187  1 P 2.02
40 S 0.8846 0.5177 0.1173  1 P 2.07
41 S 0.8929 0.5416 0.4465  1 P 2.11
42 S 0.8931 0.9618 0.7764  1 P 2.10
43 S 0.8938 0.5393 0.7783  1 P 2.05
44 S 0.8947 0.7576 0.9289  1 P 2.05
45 S 0.8985 0.9654 0.4427  1 P 2.05



Record 3
Material: Li10ZnP4S16
Method: DFT, PBE
State: optimized geometry

## Properties
Energy in eV for the cell shown: -135.0
Formation energy from the elements in meV per atom: -1124
Distance to the lowest polymorph of the same formula in eV/atom: 0.000
Space-group type: No. 1

Unit cell a=6.1563 b=7.9183 c=12.9965 alpha=90.50 beta=90.40 gamma=90.11
With the nearest neighbours (Å) after each atom.
Element x y z (fractional)
1 Li 0.0000 0.0000 0.0000  4 S 2.43-2.46
2 Li 0.0010 0.0033 0.5070  4 S 2.40-2.49
3 Li 0.0071 0.5140 0.4989  4 S 2.39-2.48
4 Li 0.0089 0.2591 0.2699  4 S 2.42-2.60
5 Li 0.0112 0.2315 0.7655  4 S 2.44-2.63
6 Li 0.4349 0.9276 0.8309  4 S 2.49-2.61
7 Li 0.5000 0.5082 0.1857  4 S 2.40-2.47
8 Li 0.5054 0.0145 0.1816  4 S 2.41-2.51
9 Li 0.5133 0.7762 0.4259  4 S 2.44-2.68
10 Li 0.9991 0.5174 0.0005  4 S 2.40-2.45
11 Zn 0.5097 0.4911 0.6894  4 S 2.35-2.41
12 P 0.0113 0.7465 0.7504  4 S 2.04-2.11
13 P 0.4998 0.2527 0.4376  4 S 2.02-2.12
14 P 0.4997 0.2703 0.9358  4 S 2.01-2.11
15 P 0.9976 0.7603 0.2552  4 S 2.06
16 S 0.1038 0.5438 0.1823  1 P 2.06
17 S 0.1074 0.9739 0.1817  1 P 2.06
18 S 0.1106 0.7618 0.4048  1 P 2.06
19 S 0.1155 0.7533 0.8993  1 P 2.04
20 S 0.1207 0.5203 0.6813  1 P 2.11
21 S 0.1510 0.9498 0.6820  1 P 2.04
22 S 0.1629 0.2603 0.9387  1 P 2.08
23 S 0.1650 0.2553 0.4415  1 P 2.06
24 S 0.5993 0.2462 0.7810  1 P 2.11, 1 Zn 2.35
25 S 0.6043 0.0450 0.9958  1 P 2.06
26 S 0.6045 0.4850 0.0031  1 P 2.01
27 S 0.6063 0.2631 0.2876  1 P 2.06
28 S 0.6087 0.0520 0.5174  1 P 2.02
29 S 0.6086 0.4776 0.5105  1 P 2.12
30 S 0.6630 0.7627 0.2528  1 P 2.06
31 S 0.6789 0.7539 0.7212  1 P 2.08